*P*
VASP calculation (PBE-GGA) on a relaxed K3Se2O8 crystal.

Unit cell a=8.1758 b=8.1758 c=10.2785 alpha=77.92 beta=77.92 gamma=42.99
Sites, in units of the cell vectors:
K (0.4590, 0.9304, 0.3484)
O (0.5964, 0.0940, 0.1262)
K (0.9304, 0.4590, 0.8484)
K (0.2371, 0.7629, 0.7500)
O (0.5882, 0.6663, 0.1177)
O (0.1514, 0.1660, 0.6012)
O (0.4118, 0.3337, 0.8823)
O (0.1836, 0.8162, 0.4341)
O (0.6663, 0.5882, 0.6177)
O (0.8340, 0.8486, 0.8988)
O (0.1660, 0.1514, 0.1012)
O (0.0940, 0.5964, 0.6262)
O (0.8486, 0.8340, 0.3988)
K (0.0696, 0.5410, 0.1516)
Se (0.6612, 0.1097, 0.9623)
O (0.9060, 0.4036, 0.3738)
Se (0.3388, 0.8903, 0.0377)
O (0.8164, 0.1838, 0.5659)
O (0.3337, 0.4118, 0.3823)
O (0.4036, 0.9060, 0.8738)
O (0.8162, 0.1836, 0.9341)
Se (0.1097, 0.6612, 0.4623)
K (0.7629, 0.2371, 0.2500)
Se (0.8903, 0.3388, 0.5377)
O (0.1838, 0.8164, 0.0659)
K (0.5410, 0.0696, 0.6516)

=====

*Q*
VASP calculation (PBE-GGA) on a relaxed K3Se2O8 crystal.

Unit cell a=6.5753 b=6.5753 c=7.7468 alpha=90.00 beta=90.00 gamma=120.00
Sites, in units of the cell vectors:
K (0.6667, 0.3333, 0.8082)
O (0.1962, 0.8038, 0.8190)
K (0.3333, 0.6667, 0.1918)
O (0.8038, 0.1962, 0.1810)
K (0.0000, 0.0000, 0.0000)
Se (0.6667, 0.3333, 0.2613)
O (0.8038, 0.6075, 0.1810)
O (0.6075, 0.8038, 0.8190)
O (0.6667, 0.3333, 0.4751)
O (0.1962, 0.3925, 0.8190)
O (0.3333, 0.6667, 0.5249)
Se (0.3333, 0.6667, 0.7387)
O (0.3925, 0.1962, 0.1810)

=====

Most stable structure, least stable structure: *P*, *Q*.